This record from Materials Project describes K10Ge18WO4 after structural relaxation. The functional is PBE with a Hubbard U.

* SG: No. 14

abc: 14.185 15.975 17.763
angles: 90.00 90.48 90.00
Positions (direct):
K: 0.359 0.256 0.890
K: 0.641 0.756 0.610
K: 0.641 0.744 0.110
K: 0.359 0.244 0.390
K: 0.628 0.398 0.836
K: 0.372 0.898 0.664
K: 0.372 0.602 0.164
K: 0.628 0.102 0.336
K: 0.254 0.499 0.979
K: 0.746 0.999 0.521
K: 0.746 0.501 0.021
K: 0.254 0.001 0.479
K: 0.288 0.681 0.538
K: 0.712 0.181 0.962
K: 0.712 0.319 0.462
K: 0.288 0.819 0.038
K: 0.214 0.236 0.618
K: 0.786 0.736 0.882
K: 0.786 0.764 0.382
K: 0.214 0.264 0.118
K: 0.475 0.019 0.893
K: 0.525 0.519 0.607
K: 0.525 0.981 0.107
K: 0.475 0.481 0.393
K: 0.179 0.056 0.812
K: 0.821 0.556 0.688
K: 0.821 0.944 0.188
K: 0.179 0.444 0.312
K: 0.272 0.476 0.710
K: 0.728 0.976 0.790
K: 0.728 0.524 0.290
K: 0.272 0.024 0.210
K: 0.065 0.623 0.859
K: 0.935 0.123 0.641
K: 0.935 0.377 0.141
K: 0.065 0.877 0.359
K: 0.004 0.403 0.567
K: 0.996 0.903 0.933
K: 0.996 0.597 0.433
K: 0.004 0.097 0.067
Ge: 0.690 0.154 0.658
Ge: 0.310 0.654 0.842
Ge: 0.310 0.846 0.342
Ge: 0.690 0.346 0.158
Ge: 0.583 0.162 0.537
Ge: 0.417 0.662 0.963
Ge: 0.417 0.838 0.463
Ge: 0.583 0.338 0.037
Ge: 0.544 0.054 0.652
Ge: 0.456 0.554 0.848
Ge: 0.456 0.946 0.348
Ge: 0.544 0.446 0.152
Ge: 0.570 0.184 0.765
Ge: 0.430 0.684 0.735
Ge: 0.430 0.816 0.235
Ge: 0.570 0.316 0.265
Ge: 0.615 0.301 0.653
Ge: 0.385 0.801 0.847
Ge: 0.385 0.699 0.347
Ge: 0.615 0.199 0.153
Ge: 0.412 0.130 0.572
Ge: 0.588 0.630 0.928
Ge: 0.588 0.870 0.428
Ge: 0.412 0.370 0.072
Ge: 0.404 0.131 0.719
Ge: 0.596 0.631 0.781
Ge: 0.596 0.869 0.281
Ge: 0.404 0.369 0.219
Ge: 0.445 0.292 0.708
Ge: 0.555 0.792 0.792
Ge: 0.555 0.708 0.292
Ge: 0.445 0.208 0.208
Ge: 0.470 0.288 0.562
Ge: 0.530 0.788 0.938
Ge: 0.530 0.712 0.438
Ge: 0.470 0.212 0.062
Ge: 0.052 0.679 0.635
Ge: 0.948 0.179 0.865
Ge: 0.948 0.321 0.365
Ge: 0.052 0.821 0.135
Ge: 0.083 0.259 0.939
Ge: 0.917 0.759 0.561
Ge: 0.917 0.741 0.061
Ge: 0.083 0.241 0.439
Ge: 0.100 0.807 0.551
Ge: 0.900 0.307 0.949
Ge: 0.900 0.193 0.449
Ge: 0.100 0.693 0.051
Ge: 0.134 0.799 0.713
Ge: 0.866 0.299 0.787
Ge: 0.866 0.201 0.287
Ge: 0.134 0.701 0.213
Ge: 0.049 0.252 0.762
Ge: 0.951 0.752 0.738
Ge: 0.951 0.748 0.238
Ge: 0.049 0.248 0.262
Ge: 0.038 0.417 0.946
Ge: 0.962 0.917 0.554
Ge: 0.962 0.583 0.054
Ge: 0.038 0.083 0.446
Ge: 0.114 0.940 0.637
Ge: 0.886 0.440 0.863
Ge: 0.886 0.060 0.363
Ge: 0.114 0.560 0.137
Ge: 0.994 0.910 0.743
Ge: 0.006 0.410 0.757
Ge: 0.006 0.090 0.257
Ge: 0.994 0.590 0.243
Ge: 0.149 0.360 0.838
Ge: 0.851 0.860 0.662
Ge: 0.851 0.640 0.162
Ge: 0.149 0.140 0.338
W: 0.254 0.457 0.505
W: 0.746 0.957 0.995
W: 0.746 0.543 0.495
W: 0.254 0.043 0.005
O: 0.344 0.978 0.050
O: 0.656 0.478 0.450
O: 0.656 0.022 0.950
O: 0.344 0.522 0.550
O: 0.163 0.977 0.965
O: 0.837 0.477 0.535
O: 0.837 0.023 0.035
O: 0.163 0.523 0.465
O: 0.201 0.393 0.579
O: 0.799 0.893 0.921
O: 0.799 0.607 0.421
O: 0.201 0.107 0.079
O: 0.305 0.101 0.927
O: 0.695 0.601 0.573
O: 0.695 0.899 0.073
O: 0.305 0.399 0.427

This record from Materials Project describes Li2MnGeO4 after structural relaxation. The functional is PBE with a Hubbard U.

* maximum piezoelectric response: 1.588 C/m2

abc: 7.584 7.584 8.312
angles: 65.05 65.05 94.33
Positions (direct):
Li: 0.290 0.458 0.750
Li: 0.790 0.958 0.750
Li: 0.208 0.040 0.750
Li: 0.708 0.540 0.750
Li: 0.458 0.290 0.250
Li: 0.958 0.790 0.250
Li: 0.540 0.708 0.250
Li: 0.040 0.208 0.250
Mn: 0.415 0.085 0.000
Mn: 0.585 0.915 0.500
Mn: 0.915 0.585 0.000
Mn: 0.085 0.415 0.500
Ge: 0.835 0.157 0.000
Ge: 0.335 0.657 0.000
Ge: 0.157 0.835 0.500
Ge: 0.657 0.335 0.500
O: 0.232 0.862 0.000
O: 0.732 0.362 0.000
O: 0.362 0.732 0.500
O: 0.862 0.232 0.500
O: 0.665 0.982 0.000
O: 0.165 0.482 0.000
O: 0.982 0.665 0.500
O: 0.482 0.165 0.500
O: 0.081 0.253 0.776
O: 0.581 0.753 0.776
O: 0.029 0.857 0.724
O: 0.529 0.357 0.724
O: 0.253 0.081 0.276
O: 0.753 0.581 0.276
O: 0.357 0.529 0.224
O: 0.857 0.029 0.224

This record from Materials Project describes Li3Ge3Mo2O12 after structural relaxation. The functional is PBE with a Hubbard U.

* SG: No. 230

abc: 10.719 10.719 10.719
angles: 109.47 109.47 109.47
Positions (direct):
Li: 0.750 0.625 0.875
Li: 0.250 0.875 0.625
Li: 0.625 0.250 0.875
Li: 0.875 0.750 0.625
Li: 0.875 0.625 0.250
Li: 0.625 0.875 0.750
Li: 0.250 0.375 0.125
Li: 0.750 0.125 0.375
Li: 0.375 0.750 0.125
Li: 0.125 0.250 0.375
Li: 0.125 0.375 0.750
Li: 0.375 0.125 0.250
Ge: 0.375 0.625 0.750
Ge: 0.625 0.375 0.250
Ge: 0.625 0.750 0.375
Ge: 0.250 0.125 0.875
Ge: 0.875 0.250 0.125
Ge: 0.750 0.375 0.625
Ge: 0.250 0.625 0.375
Ge: 0.750 0.875 0.125
Ge: 0.125 0.750 0.875
Ge: 0.375 0.250 0.625
Ge: 0.875 0.125 0.750
Ge: 0.125 0.875 0.250
Mo: 0.500 0.000 0.500
Mo: 0.000 0.500 0.000
Mo: 0.500 0.500 0.500
Mo: 0.000 0.000 0.500
Mo: 0.000 0.000 0.000
Mo: 0.000 0.500 0.500
Mo: 0.500 0.500 0.000
Mo: 0.500 0.000 0.000
O: 0.517 0.398 0.815
O: 0.815 0.517 0.398
O: 0.798 0.881 0.983
O: 0.417 0.102 0.619
O: 0.881 0.398 0.083
O: 0.685 0.083 0.702
O: 0.815 0.798 0.417
O: 0.398 0.815 0.517
O: 0.619 0.702 0.517
O: 0.417 0.815 0.798
O: 0.398 0.083 0.881
O: 0.102 0.983 0.685
O: 0.983 0.685 0.102
O: 0.798 0.417 0.815
O: 0.517 0.619 0.702
O: 0.702 0.517 0.619
O: 0.083 0.881 0.398
O: 0.983 0.798 0.881
O: 0.083 0.702 0.685
O: 0.381 0.298 0.483
O: 0.619 0.417 0.102
O: 0.102 0.619 0.417
O: 0.702 0.685 0.083
O: 0.685 0.102 0.983
O: 0.483 0.602 0.185
O: 0.185 0.483 0.602
O: 0.202 0.119 0.017
O: 0.583 0.898 0.381
O: 0.119 0.602 0.917
O: 0.315 0.917 0.298
O: 0.185 0.202 0.583
O: 0.602 0.185 0.483
O: 0.315 0.898 0.017
O: 0.298 0.315 0.917
O: 0.898 0.381 0.583
O: 0.119 0.017 0.202
O: 0.381 0.583 0.898
O: 0.917 0.298 0.315
O: 0.017 0.202 0.119
O: 0.917 0.119 0.602
O: 0.298 0.483 0.381
O: 0.483 0.381 0.298
O: 0.202 0.583 0.185
O: 0.017 0.315 0.898
O: 0.898 0.017 0.315
O: 0.602 0.917 0.119
O: 0.583 0.185 0.202
O: 0.881 0.983 0.798

What energy of formation from the pure elements values result from the calculations? In sequence: -0.61 -2.27 -2.10 eV/atom.
What total DFT energy (no corrections) values result from the calculations? In sequence: -4.238 -6.390 -6.398 eV/atom.